1.
A relaxed LiAl2V4O8 crystal. Source: Materials Project, functional GGA+U.

Cell lengths 6.0583, 6.0583, 6.1604 Å; angles 120.36, 120.36, 62.00 degrees
Fractional positions:
Li 0.0000 0.0000 0.0000
Al 0.1292 0.6177 0.3747
Al 0.6177 0.1292 0.3747
V 0.1320 0.1320 0.4098
V 0.1329 0.1329 0.8571
V 0.1391 0.5968 0.8693
V 0.5968 0.1391 0.8693
O 0.3372 0.8695 0.5999
O 0.3591 0.9344 0.1499
O 0.3765 0.3765 0.6053
O 0.3773 0.3773 0.1517
O 0.8695 0.3372 0.5999
O 0.8825 0.8825 0.6145
O 0.8825 0.8825 0.1515
O 0.9344 0.3591 0.1499

The calculation puts the total magnetization at 11.0 μB/f.u. For the energy, the calculation gives -0.25540 hartree per atom. The volume comes out at 161.24 Å³/f.u. For the density, the calculation gives 4.04 Mg/m³.



2.
A relaxed Li9AlNi2O8 crystal. Source: Materials Project, functional GGA+U.

Cell lengths 15.8270, 6.3703, 7.5100 Å; angles 90.00, 90.00, 90.00 degrees
Fractional positions:
Li 0.0695 0.0193 0.0365
Li 0.0695 0.4807 0.0365
Li 0.1194 0.0070 0.6015
Li 0.1194 0.4930 0.6015
Li 0.1388 0.7500 0.8394
Li 0.1610 0.2500 0.8293
Li 0.1937 0.7500 0.3047
Li 0.2119 0.5079 0.0507
Li 0.2119 0.9921 0.0507
Li 0.2881 0.0079 0.5507
Li 0.2881 0.4921 0.5507
Li 0.3063 0.2500 0.8047
Li 0.3390 0.7500 0.3293
Li 0.3612 0.2500 0.3394
Li 0.3806 0.5070 0.1015
Li 0.3806 0.9930 0.1015
Li 0.4305 0.5193 0.5365
Li 0.4305 0.9807 0.5365
Li 0.5695 0.0193 0.4635
Li 0.5695 0.4807 0.4635
Li 0.6194 0.0070 0.8985
Li 0.6194 0.4930 0.8985
Li 0.6388 0.7500 0.6606
Li 0.6610 0.2500 0.6707
Li 0.6937 0.7500 0.1953
Li 0.7119 0.5079 0.4493
Li 0.7119 0.9921 0.4493
Li 0.7881 0.0079 0.9493
Li 0.7881 0.4921 0.9493
Li 0.8063 0.2500 0.6953
Li 0.8390 0.7500 0.1707
Li 0.8612 0.2500 0.1606
Li 0.8806 0.5070 0.3985
Li 0.8806 0.9930 0.3985
Li 0.9305 0.5193 0.9635
Li 0.9305 0.9807 0.9635
Al 0.0055 0.2500 0.3412
Al 0.4945 0.7500 0.8412
Al 0.5055 0.2500 0.1588
Al 0.9945 0.7500 0.6588
Ni 0.0314 0.7500 0.2667
Ni 0.2000 0.2500 0.2980
Ni 0.3000 0.7500 0.7980
Ni 0.4686 0.2500 0.7667
Ni 0.5314 0.7500 0.2333
Ni 0.7000 0.2500 0.2020
Ni 0.8000 0.7500 0.7020
Ni 0.9686 0.2500 0.7333
O 0.0223 0.5257 0.7892
O 0.0223 0.9743 0.7892
O 0.0827 0.7500 0.5032
O 0.1018 0.2500 0.4610
O 0.1290 0.7500 0.0925
O 0.1427 0.2500 0.0694
O 0.2210 0.5059 0.7760
O 0.2210 0.9941 0.7760
O 0.2790 0.0059 0.2760
O 0.2790 0.4941 0.2760
O 0.3573 0.7500 0.5694
O 0.3710 0.2500 0.5925
O 0.3982 0.7500 0.9610
O 0.4173 0.2500 0.0032
O 0.4777 0.0257 0.2892
O 0.4777 0.4743 0.2892
O 0.5223 0.5257 0.7108
O 0.5223 0.9743 0.7108
O 0.5827 0.7500 0.9968
O 0.6018 0.2500 0.0390
O 0.6290 0.7500 0.4075
O 0.6427 0.2500 0.4306
O 0.7210 0.5059 0.7240
O 0.7210 0.9941 0.7240
O 0.7790 0.0059 0.2240
O 0.7790 0.4941 0.2240
O 0.8573 0.7500 0.9306
O 0.8710 0.2500 0.9075
O 0.8982 0.7500 0.5390
O 0.9173 0.2500 0.4968
O 0.9777 0.0257 0.2108
O 0.9777 0.4743 0.2108

The calculation puts the total magnetization at 4.0 μB/f.u. For the energy, the calculation gives -0.18706 hartree per atom. The volume comes out at 189.30 Å³/f.u. For the density, the calculation gives 2.94 Mg/m³.



3.
A relaxed V4OF11 crystal. Source: Materials Project, functional GGA+U.

Cell lengths 5.2456, 5.4521, 17.4495 Å; angles 89.31, 81.81, 61.70 degrees
Fractional positions:
V 0.0000 0.0000 0.0000
V 0.0000 0.5000 0.5000
V 0.2519 0.3782 0.1257
V 0.2552 0.8855 0.6317
V 0.4958 0.2429 0.7483
V 0.5042 0.7571 0.2517
V 0.7448 0.1145 0.3683
V 0.7481 0.6218 0.8743
O 0.3283 0.0356 0.7036
O 0.6717 0.9644 0.2964
F 0.1724 0.7157 0.5429
F 0.1731 0.9141 0.3385
F 0.1775 0.2155 0.0363
F 0.1772 0.4076 0.8369
F 0.2243 0.1803 0.5600
F 0.2301 0.6878 0.0633
F 0.2675 0.5675 0.6872
F 0.2737 0.0667 0.1872
F 0.3201 0.8377 0.9112
F 0.3262 0.5425 0.2144
F 0.3299 0.3433 0.4132
F 0.6701 0.6567 0.5868
F 0.6738 0.4575 0.7856
F 0.6799 0.1623 0.0888
F 0.7263 0.9333 0.8128
F 0.7325 0.4325 0.3128
F 0.7699 0.3122 0.9367
F 0.7757 0.8197 0.4400
F 0.8228 0.5924 0.1631
F 0.8225 0.7845 0.9637
F 0.8269 0.0859 0.6615
F 0.8276 0.2843 0.4571

For the energy, the calculation gives -0.22936 hartree per atom. The volume comes out at 217.03 Å³/f.u. For the density, the calculation gives 3.28 Mg/m³.